# P4Pb3O13

A relaxed P4Pb3O13 crystal (meta-GGA r2SCAN, Materials Project).

The structure in POSCAR format:
```
P4Pb3O13
1.0
7.355 0.000 0.000
-0.626 7.814 0.000
-2.484 -2.340 9.618
P Pb O
8 6 26
Cartesian
-0.181 2.744 3.486 P
-1.358 -0.777 9.527 P
0.485 5.051 5.120 P
1.915 3.803 1.571 P
2.330 1.671 8.046 P
3.760 0.422 4.498 P
5.603 6.251 0.091 P
4.426 2.730 6.132 P
-0.318 0.274 6.236 Pb
1.185 -0.459 2.596 Pb
-0.523 3.967 8.506 Pb
4.769 1.507 1.111 Pb
3.060 5.932 7.021 Pb
4.564 5.200 3.382 Pb
-0.034 1.180 0.789 O
-1.803 2.112 6.900 O
-1.625 -0.791 8.035 O
-0.300 1.289 3.806 O
-0.506 5.893 4.298 O
0.043 3.498 4.858 O
1.412 3.136 0.232 O
1.201 2.965 2.727 O
1.519 5.236 1.518 O
0.283 5.265 6.609 O
2.404 0.805 0.275 O
0.870 1.946 7.844 O
1.911 5.191 4.680 O
2.334 0.282 4.937 O
3.375 3.528 1.774 O
1.842 4.668 9.343 O
3.962 0.208 3.008 O
2.726 0.238 8.100 O
3.045 2.509 6.890 O
2.833 2.337 9.385 O
4.202 1.975 4.760 O
4.752 -0.419 5.319 O
4.545 4.185 5.811 O
5.870 6.264 1.583 O
6.049 3.361 2.718 O
4.279 4.293 8.829 O
```

Results
Its space group is P-1 (2). As for the calculated volume: 552.7 Å³/cell. Its density is 5.73 g cm⁻³. The value obtained for the formation energy is -43.8 eV/f.u.

# SnI2

A relaxed SnI2 crystal (meta-GGA r2SCAN, Materials Project).

The structure in POSCAR format:
```
SnI2
1.0
7.584 0.000 0.000
0.000 7.584 0.000
0.000 0.000 4.619
Sn I
2 4
Cartesian
0.000 0.000 0.000 Sn
3.792 3.792 2.310 Sn
1.547 1.547 2.310 I
2.245 5.339 0.000 I
5.339 2.245 0.000 I
6.037 6.037 2.310 I
```

Results
Its space group is P4_2/mnm (136). As for the calculated volume: 265.7 Å³/cell. Its density is 4.66 g cm⁻³. The value obtained for the formation energy is -1.5 eV/f.u.

# V3Rh5

A relaxed V3Rh5 crystal (meta-GGA r2SCAN, Materials Project).

The structure in POSCAR format:
```
V3Rh5
1.0
4.294 0.000 0.000
0.000 2.720 4.657
0.000 -2.720 4.657
V Rh
3 5
Cartesian
0.000 0.000 0.000 V
0.000 0.000 4.613 V
2.147 0.000 7.652 V
0.000 -1.358 2.348 Rh
0.000 1.358 2.348 Rh
2.147 -1.351 5.351 Rh
2.147 0.000 3.059 Rh
2.147 1.351 5.351 Rh
```

Results
Its space group is Amm2 (38). As for the calculated volume: 108.8 Å³/cell. Its density is 10.19 g cm⁻³. The value obtained for the formation energy is -3.2 eV/f.u.

# KMnF3

A relaxed KMnF3 crystal (meta-GGA r2SCAN, Materials Project).

The structure in POSCAR format:
```
KMnF3
1.0
5.894 0.000 0.000
0.000 8.337 0.000
0.000 0.000 5.920
K Mn F
4 4 12
Cartesian
0.056 2.084 0.013 K
2.891 6.252 2.973 K
3.003 2.084 2.948 K
5.837 6.252 5.908 K
0.000 0.000 2.960 Mn
0.000 4.168 2.960 Mn
2.947 0.000 0.000 Mn
2.947 4.168 0.000 Mn
0.021 6.252 2.702 F
1.383 4.356 4.531 F
1.383 8.149 4.531 F
1.564 0.188 1.571 F
1.564 3.980 1.571 F
2.926 2.084 5.662 F
2.968 6.252 0.258 F
4.330 4.356 4.349 F
4.330 8.149 4.349 F
4.511 0.188 1.389 F
4.511 3.980 1.389 F
5.873 2.084 3.218 F
```

Results
Its space group is Pnma (62). As for the calculated volume: 290.9 Å³/cell. Its density is 3.45 g cm⁻³. The value obtained for the formation energy is -15.0 eV/f.u.

# MnV2Cr

A relaxed MnV2Cr crystal (meta-GGA r2SCAN, Materials Project).

The structure in POSCAR format:
```
MnV2Cr
1.0
0.000 2.944 2.944
2.944 0.000 2.944
2.944 2.944 0.000
Mn V Cr
1 2 1
Cartesian
0.000 0.000 0.000 Mn
1.472 1.472 1.472 V
4.416 4.416 4.416 V
2.944 2.944 2.944 Cr
```

Results
Its space group is Fm-3m (225). As for the calculated volume: 51.0 Å³/cell. Its density is 6.80 g cm⁻³. The value obtained for the formation energy is -0.6 eV/f.u.

# KCr3O8

A relaxed KCr3O8 crystal (meta-GGA r2SCAN, Materials Project).

The structure in POSCAR format:
```
KCr3O8
1.0
5.050 -0.002 0.384
2.114 4.586 0.384
-0.015 -0.010 15.249
Cr O K
6 16 2
Cartesian
7.160 4.582 4.580 Cr
2.670 1.708 10.160 Cr
2.678 1.713 2.535 Cr
2.103 4.579 11.821 Cr
4.471 2.861 13.482 Cr
4.479 2.866 5.857 Cr
4.885 3.126 7.389 O
2.953 3.520 13.218 O
2.716 3.369 2.799 O
1.598 1.023 11.202 O
2.264 1.448 8.627 O
1.606 1.028 3.577 O
4.441 1.211 5.593 O
4.433 1.206 13.218 O
4.878 3.121 15.014 O
2.960 3.525 5.593 O
2.271 1.453 1.003 O
4.189 1.050 10.424 O
5.543 3.547 12.440 O
4.196 1.055 2.799 O
5.551 3.552 4.815 O
2.708 3.364 10.424 O
-0.015 -0.010 15.249 K
5.042 -0.006 8.008 K
```

Results
As for the calculated volume: 353.2 Å³/cell. Its density is 3.04 g cm⁻³. The value obtained for the formation energy is -24.5 eV/f.u.

# Tb3Th

A relaxed Tb3Th crystal (meta-GGA r2SCAN, Materials Project).

The structure in POSCAR format:
```
Tb3Th
1.0
-2.544 2.544 4.983
2.544 -2.544 4.983
2.544 2.544 -4.983
Tb Th
3 1
Cartesian
0.000 0.000 0.000 Tb
2.544 0.000 2.491 Tb
0.000 2.544 2.491 Tb
0.000 0.000 4.983 Th
```

Results
Its space group is I4/mmm (139). As for the calculated volume: 129.0 Å³/cell. Its density is 9.12 g cm⁻³. The value obtained for the formation energy is 0.2 eV/f.u.

# PrMgPt

A relaxed PrMgPt crystal (meta-GGA r2SCAN, Materials Project).

The structure in POSCAR format:
```
PrMgPt
1.0
7.585 0.000 0.000
-3.793 6.569 0.000
0.000 0.000 4.142
Pr Mg Pt
3 3 3
Cartesian
-2.224 3.852 0.000 Pr
1.569 2.717 0.000 Pr
4.448 0.000 0.000 Pr
-0.900 1.559 2.071 Mg
1.800 0.000 2.071 Mg
2.893 5.010 2.071 Mg
0.000 0.000 0.000 Pt
0.000 4.379 2.071 Pt
3.793 2.190 2.071 Pt
```

Results
Its space group is P-62m (189). As for the calculated volume: 206.4 Å³/cell. Its density is 8.70 g cm⁻³. The value obtained for the formation energy is -2.8 eV/f.u.

# LuTa3O9

A relaxed LuTa3O9 crystal (meta-GGA r2SCAN, Materials Project).

The structure in POSCAR format:
```
LuTa3O9
1.0
5.167 0.000 0.000
0.000 7.394 0.000
-0.361 0.000 8.211
Lu Ta O
2 6 18
Cartesian
0.010 1.849 3.569 Lu
4.797 5.546 4.642 Lu
0.000 0.000 0.000 Ta
0.000 3.697 0.000 Ta
2.182 0.059 5.718 Ta
2.182 3.638 5.718 Ta
2.625 3.756 2.493 Ta
2.625 7.335 2.493 Ta
0.206 1.849 8.013 O
0.451 4.206 6.420 O
0.451 6.885 6.420 O
1.145 4.049 3.834 O
1.145 7.042 3.834 O
1.434 1.849 5.330 O
1.669 4.141 0.968 O
1.669 6.950 0.968 O
2.016 1.849 2.576 O
2.791 5.546 5.635 O
3.138 0.444 7.243 O
3.138 3.253 7.243 O
3.373 5.546 2.881 O
3.662 0.352 4.377 O
3.662 3.345 4.377 O
4.355 0.509 1.791 O
4.355 3.188 1.791 O
4.601 5.546 0.198 O
```

Results
Its space group is P2_1/m (11). As for the calculated volume: 313.7 Å³/cell. Its density is 9.12 g cm⁻³. The value obtained for the formation energy is -43.1 eV/f.u.

# Pr2Ni12P5

A relaxed Pr2Ni12P5 crystal (meta-GGA r2SCAN, Materials Project).

The structure in POSCAR format:
```
Pr2Ni12P5
1.0
10.807 0.000 0.000
0.000 3.658 0.000
-4.004 0.000 12.413
Pr Ni P
4 24 10
Cartesian
1.650 0.915 2.273 Pr
-0.023 0.915 8.538 Pr
6.825 2.744 3.876 Pr
5.152 2.744 10.140 Pr
-0.528 2.744 3.677 Ni
-3.121 2.744 12.287 Ni
-1.084 2.744 6.093 Ni
-2.190 2.744 9.989 Ni
0.508 0.915 5.191 Ni
-1.448 0.915 11.650 Ni
3.467 2.744 0.764 Ni
2.259 2.744 4.530 Ni
2.572 0.915 6.380 Ni
0.906 0.915 11.775 Ni
2.680 2.744 8.070 Ni
1.965 2.744 10.441 Ni
4.837 0.915 1.973 Ni
4.122 0.915 4.343 Ni
5.897 2.744 0.639 Ni
4.230 2.744 6.033 Ni
4.543 0.915 7.884 Ni
3.335 0.915 11.649 Ni
8.251 2.744 0.763 Ni
6.294 2.744 7.222 Ni
8.992 0.915 2.425 Ni
7.886 0.915 6.320 Ni
9.923 0.915 0.126 Ni
7.330 0.915 8.737 Ni
-2.441 2.744 7.805 P
-3.434 0.915 10.911 P
1.176 2.744 6.402 P
-0.192 2.744 11.029 P
3.912 2.744 2.986 P
2.890 0.915 9.427 P
6.994 0.915 1.384 P
5.626 0.915 6.011 P
10.236 2.744 1.502 P
9.243 0.915 4.608 P
```

Results
Its space group is P2_1/m (11). As for the calculated volume: 490.7 Å³/cell. Its density is 7.72 g cm⁻³. The value obtained for the formation energy is -13.2 eV/f.u.

# LaI3O9

A relaxed LaI3O9 crystal (meta-GGA r2SCAN, Materials Project).

The structure in POSCAR format:
```
LaI3O9
1.0
6.234 -3.544 0.000
6.234 3.544 0.000
-5.649 0.000 27.239
La I O
6 18 54
Cartesian
3.409 3.262 13.619 La
-0.505 0.874 17.345 La
3.529 0.786 9.789 La
2.320 -0.874 3.726 La
0.704 -0.786 23.408 La
6.234 -3.262 0.000 La
4.616 2.780 3.112 I
-2.150 0.699 20.830 I
-0.498 0.396 10.497 I
-3.323 -0.396 24.116 I
0.674 -0.699 7.211 I
1.075 0.040 14.212 I
3.900 -0.040 0.593 I
1.959 1.004 20.213 I
3.975 0.996 16.757 I
2.260 0.227 26.584 I
4.783 -1.004 6.593 I
5.085 -0.227 12.965 I
6.143 0.802 20.093 I
7.978 0.610 10.524 I
6.800 -0.996 3.138 I
1.792 -2.780 16.731 I
5.154 -0.610 24.143 I
8.968 -0.802 6.474 I
3.129 3.031 10.992 O
-0.162 0.741 7.955 O
-2.770 0.095 16.311 O
4.478 2.827 6.014 O
0.054 -0.095 2.692 O
1.402 1.765 13.789 O
-1.990 0.176 19.112 O
-0.635 0.079 12.292 O
1.227 0.911 10.526 O
-0.622 0.259 14.846 O
-3.459 -0.079 25.912 O
-0.010 1.533 23.823 O
0.835 -0.176 5.493 O
-2.986 -0.741 21.574 O
2.203 -0.259 1.227 O
-0.497 0.199 21.394 O
0.932 1.371 27.023 O
5.907 2.175 9.969 O
2.327 -0.199 7.775 O
4.027 1.122 12.366 O
1.697 0.052 15.939 O
1.066 0.033 18.952 O
-1.597 -0.911 24.145 O
3.891 -0.033 5.333 O
4.521 -0.052 2.320 O
4.200 1.212 14.955 O
3.561 0.814 19.416 O
5.607 1.693 17.268 O
5.049 0.187 7.951 O
2.569 0.735 24.848 O
7.176 0.761 3.220 O
2.225 -0.187 21.570 O
4.227 -1.765 0.170 O
2.815 -1.533 10.204 O
8.562 0.941 6.153 O
7.555 0.900 12.258 O
1.202 -1.122 25.985 O
3.757 -1.371 13.403 O
6.385 -0.814 5.797 O
5.394 -0.735 11.228 O
7.581 0.907 14.982 O
4.352 -0.761 16.840 O
10.150 0.848 3.488 O
7.024 -1.212 1.336 O
6.302 0.763 21.920 O
1.653 -2.827 19.634 O
0.305 -3.031 24.611 O
5.737 -0.941 19.772 O
4.730 -0.900 25.877 O
3.082 -2.175 23.588 O
8.431 -1.693 3.649 O
9.126 -0.763 8.301 O
10.406 -0.907 1.363 O
7.325 -0.848 17.107 O
```

Results
Its space group is Cc (9). As for the calculated volume: 1203.4 Å³/cell. Its density is 5.49 g cm⁻³. The value obtained for the formation energy is -14.6 eV/f.u.

# Er3ScS6

A relaxed Er3ScS6 crystal (meta-GGA r2SCAN, Materials Project).

The structure in POSCAR format:
```
Er3ScS6
1.0
10.729 0.000 0.000
0.000 3.835 0.000
-3.517 0.000 10.493
Er Sc S
6 2 12
Cartesian
-0.193 0.959 2.053 Er
-0.097 2.877 10.418 Er
3.523 0.959 3.507 Er
3.690 2.877 6.986 Er
7.309 0.959 0.075 Er
7.405 2.877 8.440 Er
-0.388 0.959 6.116 Sc
7.601 2.877 4.377 Sc
-0.572 2.877 4.277 S
-2.188 0.959 10.072 S
-0.560 2.877 7.766 S
1.950 2.877 2.359 S
2.190 0.959 5.879 S
4.739 0.959 1.193 S
2.473 2.877 9.300 S
5.023 2.877 4.614 S
5.263 0.959 8.134 S
7.772 0.959 2.727 S
9.401 2.877 0.422 S
7.784 0.959 6.216 S
```

Results
As for the energy above the most stable polymorph in this dataset: 0 meV/atom. Its space group is P2_1/m (11). As for the calculated volume: 431.8 Å³/cell. Its density is 5.68 g cm⁻³. The value obtained for the formation energy is -23.1 eV/f.u.